Entry from Materials Project: crystalline RbScBr3 at its relaxed geometry (GGA-PBE).

The structure in POSCAR format:
```
RbScBr3
1.0
7.894 0.000 0.000
-3.947 6.837 0.000
0.000 0.000 6.215
Rb Sc Br
2 2 6
direct
0.333 0.667 0.250 Rb
0.667 0.333 0.750 Rb
0.000 0.000 0.000 Sc
0.000 0.000 0.500 Sc
0.167 0.333 0.750 Br
0.167 0.833 0.750 Br
0.333 0.167 0.250 Br
0.667 0.833 0.750 Br
0.833 0.167 0.250 Br
0.833 0.667 0.250 Br
```

The calculated formation energy comes out at -1.974 eV per atom. The symmetry is P6_3/mmc (194). The value obtained for the uncorrected energy is -4.098 eV/atom.